Arrangement A

Here is LiCuPO4 after structural relaxation from Materials Project. Energies are from GGA-PBE.

Lattice parameters (Å, degrees): 9.9833 9.9833 16.3857 97.81 97.81 59.14
Atoms (fractional coordinates):
1 Li 0.0016 0.3230 0.7509
2 Li 0.0536 0.9464 0.5000
3 Li 0.0563 0.4438 0.5010
4 Li 0.3211 0.4999 0.2523
5 Li 0.3230 0.0016 0.2509
6 Li 0.3833 0.5560 0.0017
7 Li 0.4438 0.0563 0.0010
8 Li 0.4438 0.8175 0.7524
9 Li 0.4999 0.3211 0.7523
10 Li 0.5560 0.3833 0.5017
11 Li 0.5555 0.8819 0.4998
12 Li 0.8175 0.4438 0.2524
13 Li 0.8211 0.9443 0.2524
14 Li 0.8819 0.5555 0.9998
15 Li 0.9443 0.8211 0.7524
16 Li 0.9464 0.0536 0.0000
17 Cu 0.0106 0.6861 0.3751
18 Cu 0.0125 0.1845 0.3741
19 Cu 0.0729 0.2502 0.1225
20 Cu 0.1250 0.7539 0.1256
21 Cu 0.1301 0.5114 0.8757
22 Cu 0.1845 0.0125 0.8741
23 Cu 0.2441 0.5736 0.6240
24 Cu 0.2502 0.0729 0.6225
25 Cu 0.5114 0.1301 0.3757
26 Cu 0.5116 0.6280 0.3763
27 Cu 0.5736 0.2441 0.1240
28 Cu 0.6267 0.7471 0.1257
29 Cu 0.6280 0.5116 0.8763
30 Cu 0.6861 0.0106 0.8751
31 Cu 0.7471 0.6267 0.6257
32 Cu 0.7539 0.1250 0.6256
33 P 0.1602 0.3431 0.3140
34 P 0.1606 0.8438 0.3132
35 P 0.2259 0.4124 0.0653
36 P 0.2821 0.9103 0.0636
37 P 0.2841 0.6631 0.8154
38 P 0.3431 0.1602 0.8140
39 P 0.4094 0.7260 0.5656
40 P 0.4124 0.2259 0.5653
41 P 0.6619 0.7848 0.3144
42 P 0.6631 0.2841 0.3154
43 P 0.7260 0.4094 0.0656
44 P 0.7798 0.9091 0.0639
45 P 0.7848 0.6619 0.8144
46 P 0.8438 0.1606 0.8132
47 P 0.9091 0.7798 0.5639
48 P 0.9103 0.2821 0.5636
49 O 0.0197 0.7120 0.6430
50 O 0.0267 0.2128 0.6406
51 O 0.0476 0.3471 0.2381
52 O 0.0485 0.8491 0.2361
53 O 0.0774 0.3965 0.0556
54 O 0.0874 0.8406 0.3900
55 O 0.0912 0.3368 0.3917
56 O 0.1215 0.6922 0.8328
57 O 0.1675 0.9837 0.9877
58 O 0.1790 0.4892 0.3236
59 O 0.1829 0.9879 0.3231
60 O 0.1939 0.3232 0.8011
61 O 0.2128 0.0267 0.1406
62 O 0.2224 0.5272 0.1405
63 O 0.2320 0.4816 0.9875
64 O 0.2471 0.8760 0.5751
65 O 0.2489 0.3727 0.5769
66 O 0.2684 0.8201 0.8000
67 O 0.2980 0.7511 0.0762
68 O 0.3223 0.6926 0.3011
69 O 0.3232 0.1939 0.3011
70 O 0.3368 0.0912 0.8917
71 O 0.3471 0.0476 0.7381
72 O 0.3471 0.5488 0.7375
73 O 0.3727 0.2489 0.0769
74 O 0.3893 0.5798 0.5559
75 O 0.3965 0.0774 0.5556
76 O 0.4033 0.5855 0.8897
77 O 0.4454 0.8843 0.0513
78 O 0.4816 0.2320 0.4875
79 O 0.4841 0.7280 0.4890
80 O 0.4892 0.1790 0.8236
81 O 0.5212 0.7216 0.6427
82 O 0.5272 0.2224 0.6405
83 O 0.5488 0.3471 0.2375
84 O 0.5495 0.8458 0.2354
85 O 0.5798 0.3893 0.0559
86 O 0.5832 0.9052 0.3881
87 O 0.5855 0.4033 0.3897
88 O 0.6230 0.6905 0.8321
89 O 0.6641 0.9877 0.9891
90 O 0.6905 0.6230 0.3321
91 O 0.6922 0.1215 0.3328
92 O 0.6926 0.3223 0.8011
93 O 0.7120 0.0197 0.1430
94 O 0.7216 0.5212 0.1427
95 O 0.7280 0.4841 0.9890
96 O 0.7486 0.7968 0.5741
97 O 0.7511 0.2980 0.5762
98 O 0.7697 0.8196 0.7998
99 O 0.7968 0.7486 0.0741
100 O 0.8201 0.2684 0.3000
101 O 0.8196 0.7697 0.2998
102 O 0.8406 0.0874 0.8900
103 O 0.8458 0.5495 0.7354
104 O 0.8491 0.0485 0.7361
105 O 0.8760 0.2471 0.0751
106 O 0.8843 0.4454 0.5513
107 O 0.8857 0.9420 0.5510
108 O 0.9052 0.5832 0.8881
109 O 0.9420 0.8857 0.0510
110 O 0.9837 0.1675 0.4877
111 O 0.9879 0.1829 0.8231
112 O 0.9877 0.6641 0.4891

Values from the calculation:
calculated volume: 12.363 Å³ per atom


Arrangement B

Here is LiCuPO4 after structural relaxation from Materials Project. Energies are from GGA-PBE.

Lattice parameters (Å, degrees): 5.8759 7.3708 14.0701 90.00 90.00 90.00
Atoms (fractional coordinates):
1 Li 0.1571 0.1967 0.2172
2 Li 0.1571 0.3033 0.7172
3 Li 0.3429 0.6967 0.2172
4 Li 0.3429 0.8033 0.7172
5 Li 0.6571 0.1967 0.2828
6 Li 0.6571 0.3033 0.7828
7 Li 0.8429 0.6967 0.2828
8 Li 0.8429 0.8033 0.7828
9 Cu 0.1213 0.6806 0.5311
10 Cu 0.1213 0.8194 0.0311
11 Cu 0.3787 0.1806 0.5311
12 Cu 0.3787 0.3194 0.0311
13 Cu 0.6213 0.6806 0.9689
14 Cu 0.6213 0.8194 0.4689
15 Cu 0.8787 0.1806 0.9689
16 Cu 0.8787 0.3194 0.4689
17 P 0.0953 0.5320 0.8745
18 P 0.0953 0.9680 0.3745
19 P 0.4047 0.0320 0.8745
20 P 0.4047 0.4680 0.3745
21 P 0.5953 0.5320 0.6255
22 P 0.5953 0.9680 0.1255
23 P 0.9047 0.0320 0.6255
24 P 0.9047 0.4680 0.1255
25 O 0.0423 0.6479 0.1317
26 O 0.0423 0.8521 0.6317
27 O 0.0578 0.1858 0.5787
28 O 0.0578 0.3142 0.0787
29 O 0.1553 0.5914 0.7743
30 O 0.1553 0.9086 0.2743
31 O 0.1871 0.0090 0.9381
32 O 0.1871 0.4910 0.4381
33 O 0.3129 0.5090 0.9381
34 O 0.3129 0.9910 0.4381
35 O 0.3447 0.0914 0.7743
36 O 0.3447 0.4086 0.2743
37 O 0.4422 0.6858 0.5787
38 O 0.4422 0.8142 0.0787
39 O 0.4577 0.1479 0.1317
40 O 0.4577 0.3521 0.6317
41 O 0.5423 0.6479 0.3683
42 O 0.5423 0.8521 0.8683
43 O 0.5578 0.1858 0.9213
44 O 0.5578 0.3142 0.4213
45 O 0.6553 0.5914 0.7257
46 O 0.6553 0.9086 0.2257
47 O 0.6871 0.0090 0.5619
48 O 0.6871 0.4910 0.0619
49 O 0.8129 0.5090 0.5619
50 O 0.8129 0.9910 0.0619
51 O 0.8447 0.0914 0.7257
52 O 0.8447 0.4086 0.2257
53 O 0.9422 0.6858 0.9213
54 O 0.9422 0.8142 0.4213
55 O 0.9577 0.1479 0.3683
56 O 0.9577 0.3521 0.8683

Values from the calculation:
calculated volume: 10.882 Å³ per atom


Verdict on stability: arrangement B comes out at the bottom.